*A*
Computed, not measured: a relaxed MgV4O7F5 crystal at the PBE with a Hubbard U level of DFT.

```
17
Lattice="1.789 2.600 -4.064 -0.672 5.378 -0.174 6.408 3.418 5.223" Properties=species:S:1:pos:R:3 pbc="T T T"
Mg 0.971 3.181 -0.794
V 2.625 5.461 -1.615
V 3.904 2.898 0.606
V 4.904 6.105 2.653
V 8.013 5.920 1.110
O 2.921 6.716 -0.255
O 0.898 5.321 -1.381
O 4.585 7.426 1.657
O 2.927 3.806 -0.666
O 6.911 6.047 2.520
O 5.330 7.079 4.299
O 2.679 2.930 1.822
F 4.862 8.422 -0.820
F 2.342 6.922 -3.056
F 0.674 1.742 0.553
F 4.688 4.661 1.292
F 5.238 4.351 3.921
```

Computed properties:
SG: P1 (1)
calculated volume: 12.17 A^3/atom

---

*B*
Computed, not measured: a relaxed MgV4O7F5 crystal at the PBE with a Hubbard U level of DFT.

```
17
Lattice="4.481 -1.771 1.786 2.014 -1.386 -7.186 2.229 4.895 -0.006" Properties=species:S:1:pos:R:3 pbc="T T T"
Mg 4.828 3.160 -1.196
V 4.139 0.818 -2.923
V 3.454 1.502 0.762
V 1.169 -0.753 -3.716
V 6.462 -3.132 -5.312
O 5.599 -1.622 -5.634
O 4.302 1.150 -0.677
O 4.412 0.681 -4.550
O 2.712 -0.217 -2.605
O 3.296 3.442 0.102
O 3.492 2.468 -2.775
O 4.117 3.703 -5.172
F 6.631 2.997 -0.307
F 5.401 -0.584 -2.395
F 7.036 0.675 -5.344
F 5.991 2.022 -2.543
F 1.684 1.119 0.063
```

Computed properties:
SG: P1 (1)
calculated volume: 12.30 A^3/atom

---

Which one sits at the top of the stability order? *B* does.

---

*A*
Computed, not measured: a relaxed MgV4O7F5 crystal at the PBE with a Hubbard U level of DFT.

```
17
Lattice="2.479 -1.057 -4.388 -6.248 -2.842 -2.718 -1.004 4.992 -1.963" Properties=species:S:1:pos:R:3 pbc="T T T"
Mg 0.207 0.109 -5.986
V -2.342 0.496 -4.577
V 0.791 2.139 -3.485
V -1.501 2.425 -7.542
V -6.037 -2.625 -2.820
O 0.635 -1.599 -4.715
O -1.730 -0.875 -5.496
O -4.753 0.158 -7.480
O -0.491 1.136 -4.389
O -0.198 1.134 -1.509
O -2.978 1.875 -3.346
O -4.448 -2.221 -2.513
F -4.336 -2.340 -6.052
F -2.593 1.691 -6.112
F -4.269 -0.036 -4.763
F -2.207 -0.580 -2.850
F -0.499 3.532 -2.973
```

Computed properties:
SG: P1 (1)
calculated volume: 12.17 A^3/atom

---

*B*
Computed, not measured: a relaxed MgV4O7F5 crystal at the PBE with a Hubbard U level of DFT.

```
17
Lattice="1.535 3.908 2.958 -3.210 4.488 0.364 -6.923 -2.042 5.620" Properties=species:S:1:pos:R:3 pbc="T T T"
Mg -3.398 3.006 6.558
V -2.258 4.435 3.790
V -5.826 5.455 4.620
V -6.338 1.897 5.184
V -1.827 8.075 3.463
O -5.114 5.920 6.355
O -2.139 6.505 3.863
O -2.512 4.780 1.904
O -6.507 3.838 5.230
O -2.270 2.569 3.556
O -6.125 1.670 6.972
O -3.799 0.478 2.597
F -0.260 4.463 3.622
F -4.258 4.555 3.871
F -4.329 1.988 5.089
F -8.445 1.896 5.266
F -6.196 -0.093 4.845
```

Computed properties:
SG: P1 (1)
calculated volume: 12.46 A^3/atom

---

*C*
Computed, not measured: a relaxed MgV4O7F5 crystal at the PBE with a Hubbard U level of DFT.

```
17
Lattice="-5.182 0.014 0.033 2.473 -4.756 0.044 0.119 -2.867 8.565" Properties=species:S:1:pos:R:3 pbc="T T T"
Mg 0.014 -6.612 7.356
V -2.592 -4.745 6.536
V -2.436 -4.742 0.161
V -2.735 -1.431 4.251
V -0.153 -2.888 2.200
O -4.043 -2.266 3.609
O -4.018 -3.387 7.209
O -1.462 -2.090 2.893
O -0.986 -5.466 5.970
O -1.097 -3.651 0.601
O 0.417 -1.383 1.049
O -3.241 -5.983 7.567
F -2.097 -2.880 5.520
F -1.515 -3.642 7.895
F -0.486 -4.547 3.270
F 1.441 -3.924 1.423
F 1.546 -5.239 4.969
```

Computed properties:
SG: P1 (1)
calculated volume: 12.35 A^3/atom

---

Which one sits at the top of the stability order? *C* does.

---

*A*
Computed, not measured: a relaxed MgV5Mo5O25 crystal at the PBE with a Hubbard U level of DFT.

```
36
Lattice="-13.777 12.047 5.768 -4.973 1.311 -2.045 -1.363 -5.552 2.849" Properties=species:S:1:pos:R:3 pbc="T T T"
Mg -16.728 11.086 5.170
V -2.115 -2.776 1.637
V -4.856 -0.479 2.630
V -11.689 0.656 3.175
V -14.368 3.046 4.267
V -12.312 4.043 7.205
Mo -13.895 11.872 5.555
Mo -7.708 3.686 -0.772
Mo -7.411 2.057 3.805
Mo -10.121 4.551 4.998
Mo -12.982 6.939 6.194
O -1.540 -1.173 0.787
O -2.685 -4.120 3.089
O -3.493 -1.855 2.645
O -3.956 0.790 -0.887
O -3.716 0.987 1.881
O -5.690 -0.846 1.228
O -5.488 -1.825 4.037
O -6.104 0.641 3.728
O -6.788 4.174 0.595
O -6.455 3.433 3.135
O -8.435 1.638 2.475
O -8.086 0.731 5.239
O -8.733 3.121 4.924
O -10.723 1.032 4.461
O -9.167 5.868 4.217
O -11.088 4.019 3.660
O -10.727 3.173 6.409
O -11.507 5.616 5.958
O -13.399 3.337 5.618
O -12.088 8.465 5.658
O -13.827 6.570 4.715
O -13.715 5.424 7.296
O -14.393 7.853 7.180
O -15.046 11.446 4.007
O -16.831 8.810 6.043
```

Computed properties:
SG: P1 (1)
calculated volume: 13.30 A^3/atom

---

*B*
Computed, not measured: a relaxed MgV5Mo5O25 crystal at the PBE with a Hubbard U level of DFT.

```
36
Lattice="17.557 -0.357 -7.073 3.516 4.077 -1.399 0.686 -0.018 6.355" Properties=species:S:1:pos:R:3 pbc="T T T"
Mg 9.727 1.895 -2.237
V 1.586 0.803 3.488
V 5.012 1.083 2.069
V 10.974 3.756 2.005
V 14.534 3.425 0.748
V 18.108 3.748 -0.731
Mo 17.521 -0.112 -6.919
Mo 3.607 0.202 -1.313
Mo 8.382 0.172 0.447
Mo 11.888 0.167 -0.786
Mo 15.521 0.270 -2.366
O 18.270 0.225 -5.341
O 2.328 0.386 5.345
O 3.489 0.516 3.131
O 3.489 2.572 -1.257
O 4.211 0.545 0.357
O 5.063 2.736 1.934
O 5.789 0.667 3.915
O 6.761 0.326 1.639
O 7.417 2.555 -2.731
O 10.700 3.684 -2.411
O 8.787 1.681 -0.371
O 9.104 -0.081 2.415
O 13.835 3.636 -1.139
O 10.593 2.124 2.032
O 10.774 0.165 -2.474
O 11.750 1.938 -0.724
O 12.665 -0.223 1.063
O 13.931 0.058 -1.212
O 13.887 1.783 -5.394
O 14.791 -0.146 -3.917
O 15.525 2.037 -2.485
O 16.330 0.124 -0.326
O 17.431 0.059 -2.573
O 18.248 2.063 -0.787
O 19.113 2.127 -3.558
```

Computed properties:
SG: P1 (1)
calculated volume: 13.42 A^3/atom

---

Which one sits at the top of the stability order? *B* does.

---

*A*
Computed, not measured: a relaxed MgVFeP4O14 crystal at the PBE with a Hubbard U level of DFT.

```
21
Lattice="-3.143 -1.766 -3.619 6.706 -3.798 -3.564 -0.045 -4.793 4.967" Properties=species:S:1:pos:R:3 pbc="T T T"
Mg 5.090 -5.894 -0.769
V 2.591 -5.764 1.142
Fe -2.135 -2.673 -1.506
P 0.113 -3.796 0.568
P 4.293 -3.898 -3.205
P -0.517 -6.631 0.771
P 2.590 -5.982 -2.346
O -0.921 -6.905 -0.672
O 4.043 -7.205 1.514
O -0.034 -2.776 1.734
O 1.544 -4.243 0.359
O 3.114 -6.214 -0.913
O 0.946 -6.924 1.085
O -0.784 -5.046 1.059
O 2.814 -4.452 -2.728
O 4.624 -4.605 -4.533
O -0.500 -3.287 -0.731
O 3.475 -6.842 -3.303
O 1.155 -6.339 -2.642
O -1.486 -2.523 -3.278
O 5.240 -4.280 -2.066
```

Computed properties:
SG: P1 (1)
calculated volume: 13.74 A^3/atom

---

*B*
Computed, not measured: a relaxed MgVFeP4O14 crystal at the PBE with a Hubbard U level of DFT.

```
21
Lattice="4.919 0.041 0.017 0.049 8.367 0.024 -2.273 0.031 6.561" Properties=species:S:1:pos:R:3 pbc="T T T"
Mg -0.649 7.374 4.665
V -0.634 4.181 4.817
Fe 3.167 0.195 1.756
P 0.688 1.620 3.422
P 0.874 6.613 0.648
P 1.794 2.444 6.023
P 1.891 5.816 3.272
O -1.676 2.730 5.669
O -1.453 5.857 5.889
O -0.401 0.499 3.354
O 0.115 3.013 3.357
O 0.559 5.859 4.069
O 0.884 3.670 5.992
O 1.284 1.355 4.907
O 1.519 5.613 1.718
O 1.870 7.774 0.341
O 1.797 1.383 2.418
O 2.617 7.181 3.379
O 2.771 4.637 3.593
O 3.989 1.590 0.739
O 4.444 7.104 1.170
```

Computed properties:
SG: P1 (1)
calculated volume: 12.87 A^3/atom

---

Which one sits at the top of the stability order? *B* does.

---

*A*
Computed, not measured: a relaxed MgV4SnO12 crystal at the PBE with a Hubbard U level of DFT.

```
18
Lattice="0.024 5.387 -4.703 -2.850 -5.161 -4.048 -5.503 -1.069 1.749" Properties=species:S:1:pos:R:3 pbc="T T T"
Mg -2.106 -0.209 -1.824
V -6.248 -2.923 -2.090
V -4.023 -2.358 -4.538
V -4.363 1.508 -2.585
V -2.105 2.094 -5.043
Sn -3.940 -0.062 -7.504
O -5.717 -4.571 -2.126
O -5.780 -2.117 -0.699
O -3.944 -4.167 -4.503
O -5.519 -2.109 -3.476
O -3.942 0.630 -1.222
O -2.545 -1.616 -3.626
O -5.777 0.749 -3.319
O -4.065 -1.565 -6.091
O -2.781 1.287 -3.475
O -4.790 3.148 -2.226
O -2.990 1.375 -6.362
O -2.121 3.898 -4.883
```

Computed properties:
SG: C2 (5)
calculated volume: 14.77 A^3/atom

---

*B*
Computed, not measured: a relaxed MgV4SnO12 crystal at the PBE with a Hubbard U level of DFT.

```
18
Lattice="7.018 -0.286 -0.035 -1.032 6.948 0.035 -1.546 1.389 5.408" Properties=species:S:1:pos:R:3 pbc="T T T"
Mg 3.241 5.939 4.056
V -0.525 5.182 4.273
V 1.444 5.875 1.616
V 2.890 2.114 3.839
V 4.915 2.756 1.088
Sn 5.135 6.491 1.352
O 5.149 5.866 3.303
O -0.972 3.618 4.216
O 0.176 6.946 1.160
O 1.159 5.358 3.288
O 1.382 1.503 3.896
O 1.581 4.529 0.539
O 2.886 3.807 4.824
O 3.021 6.611 1.906
O 3.562 2.749 2.165
O 2.966 7.828 4.809
O 5.479 4.402 0.798
O 6.115 1.609 1.544
```

Computed properties:
SG: C2 (5)
calculated volume: 14.52 A^3/atom

---

Which one sits at the top of the stability order? *A* does.

---

*A*
Computed, not measured: a relaxed BaVOF4 crystal at the PBE with a Hubbard U level of DFT.

```
28
Lattice="0.000 4.005 14.097 3.767 0.000 14.097 3.767 4.005 0.000" Properties=species:S:1:pos:R:3 pbc="T T T"
Ba 3.784 3.911 19.565
Ba 3.708 4.108 8.582
Ba 5.658 6.150 26.627
Ba 5.627 5.927 15.679
V 1.918 2.028 11.919
V 3.782 4.060 23.368
V 1.823 1.954 2.195
V 3.775 3.967 4.911
O 3.234 2.656 5.734
O 3.238 1.370 8.401
O 1.359 4.674 15.412
O 1.422 3.344 12.808
F 3.139 1.307 13.227
F 4.316 1.841 17.813
F 4.346 4.788 12.743
F 1.294 0.652 6.203
F 4.348 3.209 15.461
F 1.259 3.362 7.974
F 6.246 5.194 19.775
F 3.394 5.304 17.221
F 6.269 6.760 22.573
F 3.416 2.782 10.930
F 6.186 3.841 17.440
F 5.310 7.245 17.961
F 6.183 4.232 10.795
F 4.316 6.179 10.361
F 5.278 4.789 24.309
F 3.151 6.611 14.952
```

Computed properties:
SG: P1 (1)
calculated volume: 15.19 A^3/atom

---

*B*
Computed, not measured: a relaxed BaVOF4 crystal at the PBE with a Hubbard U level of DFT.

```
28
Lattice="0.000 4.005 14.097 3.767 0.000 14.097 3.767 4.005 0.000" Properties=species:S:1:pos:R:3 pbc="T T T"
Ba 3.778 1.899 12.560
Ba 3.778 6.112 15.635
Ba 1.894 4.109 19.608
Ba 1.894 3.901 8.586
V 5.665 4.046 18.965
V 3.781 2.043 16.278
V 5.665 3.965 9.229
V 3.781 5.968 11.916
O 4.255 4.642 12.775
O 4.255 3.368 15.419
O 6.139 6.645 22.468
O 6.139 5.371 19.824
F 4.397 3.360 20.272
F 3.213 3.796 24.853
F 3.148 2.775 5.670
F 6.280 6.653 27.321
F 3.148 1.231 8.427
F 6.280 5.363 14.971
F 1.264 3.233 12.719
F 4.141 3.272 10.215
F 1.264 4.777 15.476
F 4.141 4.739 17.979
F 1.329 1.793 10.390
F 2.258 5.275 10.931
F 1.329 2.212 3.707
F 3.213 4.215 3.341
F 2.258 2.736 17.264
F 4.397 4.651 7.922
```

Computed properties:
SG: Fdd2 (43)
calculated volume: 15.19 A^3/atom

---

Which one sits at the top of the stability order? *B* does.

---

*A*
Computed, not measured: a relaxed Li2MnF4 crystal at the PBE with a Hubbard U level of DFT.

```
14
Lattice="3.286 0.000 0.000 0.000 8.753 0.000 0.000 0.000 8.769" Properties=species:S:1:pos:R:3 pbc="T T T"
Li 0.000 2.225 8.604
Li 0.000 2.023 4.345
Li 0.000 6.601 0.164
Li 0.000 6.399 4.423
Mn 1.643 8.751 2.186
Mn 1.643 4.375 6.583
F 0.000 0.974 1.179
F 1.643 1.479 3.722
F 1.643 2.841 8.066
F 0.000 3.363 5.600
F 0.000 5.351 7.589
F 1.643 5.856 5.047
F 1.643 7.217 0.703
F 0.000 7.740 3.168
```

Computed properties:
SG: Pmc2_1 (26)
calculated volume: 18.02 A^3/atom

---

*B*
Computed, not measured: a relaxed Li2MnF4 crystal at the PBE with a Hubbard U level of DFT.

```
7
Lattice="-2.932 -3.196 3.410 0.767 2.166 5.016 -1.590 2.492 -4.658" Properties=species:S:1:pos:R:3 pbc="T T T"
Li -1.082 -0.515 4.213
Li -0.953 2.072 2.285
Mn 0.000 0.000 0.000
F -0.117 1.011 3.593
F -2.728 0.141 4.924
F -3.137 0.689 -1.775
F -1.528 1.083 0.794
```

Computed properties:
SG: I-4 (82)
maximum piezoelectric response: 0.53 C/m²
calculated volume: 14.08 A^3/atom

---

Which one sits at the top of the stability order? *A* does.